Entry 1:
Entry from Materials Project: a relaxed PmNdIr2 crystal (PBE).

Calculated density ... 12.6 Mg/m³
ΔH_f (0 K) ... -590 meV per atom
Raw total energy ... -29.56 eV for the cell shown
Space group ... No. 225

```
PmNdIr2
1.0
0.0000 3.5368 3.5368
3.5368 0.0000 3.5368
3.5368 3.5368 0.0000
Pm Nd Ir
1 1 2
direct
0.0000 0.0000 0.0000
0.5000 0.5000 0.5000
0.2500 0.2500 0.2500
0.7500 0.7500 0.7500
```

=====

Entry 2:
Entry from Materials Project: a relaxed PrNdIr2 crystal (PBE).

Calculated density ... 12.3 Mg/m³
ΔH_f (0 K) ... -535 meV per atom
Raw total energy ... -29.37 eV for the cell shown
Space group ... No. 225

```
PrNdIr2
1.0
3.4508 1.3572 3.4105
1.5769 4.7797 0.2234
-1.3179 2.9078 3.8974
Pr Nd Ir
1 1 2
direct
0.0000 0.0000 0.0000
0.5000 0.5000 0.5000
0.2500 0.2500 0.2500
0.7500 0.7500 0.7500
```

=====

Repeat the first record exactly.
Entry from Materials Project: a relaxed PmNdIr2 crystal (PBE).

Calculated density ... 12.6 Mg/m³
ΔH_f (0 K) ... -590 meV per atom
Raw total energy ... -29.56 eV for the cell shown
Space group ... No. 225

```
PmNdIr2
1.0
0.0000 3.5368 3.5368
3.5368 0.0000 3.5368
3.5368 3.5368 0.0000
Pm Nd Ir
1 1 2
direct
0.0000 0.0000 0.0000
0.5000 0.5000 0.5000
0.2500 0.2500 0.2500
0.7500 0.7500 0.7500
```